No. 1
# Ba2MoO3F4

Crystalline Ba2MoO3F4 at its relaxed geometry (PBE with a Hubbard U, Materials Project).

Results
- M_tot: 0.0000 μB per atom
- Energy relative to the elements: -315.2 kJ/mol of atoms
- VASP energy: -6.27 eV per atom
- Space-group type: Cc, No. 9

a b c (Å): 7.5378 7.5378 7.3096
angles (deg): 63.07 63.07 78.89
Fractional coordinates of all 20 atoms:
Ba 0.5587 0.3234 0.1789
Ba 0.3234 0.5587 0.6789
Ba 0.3232 0.9719 0.0064
Ba 0.9719 0.3232 0.5064
Mo 0.7945 0.8543 0.1218
Mo 0.8543 0.7945 0.6218
O 0.9084 0.0891 0.9997
O 0.0891 0.9084 0.4997
O 0.5444 0.9036 0.2818
O 0.9036 0.5444 0.7818
O 0.8733 0.7483 0.3810
O 0.7483 0.8733 0.8810
F 0.2943 0.5926 0.3010
F 0.5926 0.2943 0.8010
F 0.5424 0.7200 0.7816
F 0.7200 0.5424 0.2816
F 0.7410 0.0758 0.4782
F 0.0758 0.7410 0.9782
F 0.2216 0.2978 0.1232
F 0.2978 0.2216 0.6232

No. 2
# K3V3O8

Crystalline K3V3O8 at its relaxed geometry (PBE with a Hubbard U, Materials Project).

Results
- Energy relative to the elements: -234.8 kJ/mol of atoms
- VASP energy: -6.69 eV per atom

a b c (Å): 5.7555 9.5026 9.5026
angles (deg): 63.27 72.37 72.37
Fractional coordinates of all 28 atoms:
K 0.0000 0.0000 0.0000
K 0.5000 0.5000 0.5000
K 0.8457 0.4876 0.8210
K 0.3457 0.9876 0.3210
K 0.1543 0.5124 0.1790
K 0.6543 0.0124 0.6790
V 0.2500 0.7500 0.7500
V 0.7500 0.2500 0.2500
V 0.6302 0.7031 0.0364
V 0.1302 0.2031 0.5364
V 0.3698 0.2969 0.9636
V 0.8698 0.7969 0.4636
O 0.5190 0.8143 0.1476
O 0.0190 0.3143 0.6476
O 0.4810 0.1857 0.8524
O 0.9810 0.6857 0.3524
O 0.5800 0.2534 0.0868
O 0.0800 0.7534 0.5868
O 0.3299 0.5035 0.8367
O 0.8299 0.0035 0.3367
O 0.0798 0.2534 0.0868
O 0.5798 0.7534 0.5868
O 0.9202 0.7466 0.9132
O 0.4202 0.2466 0.4132
O 0.6701 0.4965 0.1633
O 0.1701 0.9965 0.6633
O 0.4200 0.7466 0.9132
O 0.9200 0.2466 0.4132

No. 3
# Li2MnVP3O12

Crystalline Li2MnVP3O12 at its relaxed geometry (PBE with a Hubbard U, Materials Project).

Results
- M_tot: 0.2632 μB per atom
- Energy relative to the elements: -249.5 kJ/mol of atoms
- Relative energy among the computed polymorphs: 13.5 meV/atom
- VASP energy: -7.12 eV per atom
- Space-group type: P-1, No. 2

a b c (Å): 9.2106 8.3371 8.2897
angles (deg): 60.88 61.90 91.99
Fractional coordinates of all 38 atoms:
Li 0.1395 0.7425 0.1783
Li 0.1260 0.0666 0.6089
Li 0.8740 0.9334 0.3911
Li 0.8605 0.2575 0.8217
Mn 0.5650 0.8493 0.2898
Mn 0.4350 0.1507 0.7102
V 0.0476 0.3540 0.2921
V 0.9524 0.6460 0.7079
P 0.2540 0.0455 0.2064
P 0.2423 0.4610 0.4975
P 0.2562 0.7514 0.7778
P 0.7438 0.2486 0.2222
P 0.7577 0.5390 0.5025
P 0.7460 0.9545 0.7936
O 0.0977 0.8390 0.3722
O 0.2705 0.1247 0.9854
O 0.1782 0.1718 0.2960
O 0.1918 0.4982 0.3278
O 0.0888 0.4756 0.6805
O 0.1199 0.7925 0.7127
O 0.4173 0.0279 0.2008
O 0.2462 0.2545 0.6121
O 0.4152 0.6172 0.3731
O 0.1861 0.5360 0.9801
O 0.2646 0.8846 0.8552
O 0.4327 0.7923 0.5854
O 0.5673 0.2077 0.4146
O 0.7354 0.1154 0.1448
O 0.8139 0.4640 0.0199
O 0.5848 0.3828 0.6269
O 0.7538 0.7455 0.3879
O 0.5827 0.9721 0.7992
O 0.8801 0.2075 0.2873
O 0.9112 0.5244 0.3195
O 0.8082 0.5018 0.6722
O 0.8218 0.8282 0.7040
O 0.7295 0.8753 0.0146
O 0.9023 0.1610 0.6278

No. 4
# Li3NiPCO7

Crystalline Li3NiPCO7 at its relaxed geometry (PBE with a Hubbard U, Materials Project).

Results
- M_tot: 0.1538 μB per atom
- Energy relative to the elements: -219.6 kJ/mol of atoms
- Relative energy among the computed polymorphs: 17.9 meV/atom
- VASP energy: -6.39 eV per atom
- Space-group type: P1, No. 1

a b c (Å): 6.3953 8.3713 9.9143
angles (deg): 94.80 90.07 90.11
Fractional coordinates of all 52 atoms:
Li 0.7477 0.9107 0.3806
Li 0.7458 0.9028 0.8805
Li 0.5202 0.7218 0.1230
Li 0.9798 0.7243 0.6229
Li 0.5221 0.7239 0.6233
Li 0.7492 0.3390 0.1051
Li 0.4860 0.2768 0.3701
Li 0.0145 0.2776 0.3702
Li 0.4902 0.2772 0.8866
Li 0.0091 0.2764 0.8867
Li 0.2504 0.1054 0.1130
Li 0.2507 0.0994 0.6171
Ni 0.9842 0.7235 0.1251
Ni 0.2508 0.6650 0.3978
Ni 0.2518 0.6657 0.8926
Ni 0.7510 0.3331 0.6033
P 0.7532 0.5890 0.3605
P 0.7481 0.5818 0.8600
P 0.2463 0.4107 0.1399
P 0.2506 0.4144 0.6394
C 0.2453 0.9599 0.3503
C 0.2479 0.9598 0.8521
C 0.7534 0.0362 0.1470
C 0.7503 0.0402 0.6490
O 0.2515 0.9230 0.4738
O 0.7612 0.8828 0.1780
O 0.2466 0.9218 0.9769
O 0.2389 0.8398 0.2549
O 0.7500 0.8923 0.6789
O 0.2480 0.8429 0.7566
O 0.9395 0.6936 0.4167
O 0.5630 0.6924 0.4109
O 0.9371 0.6892 0.9167
O 0.5626 0.6905 0.9113
O 0.2397 0.5825 0.0853
O 0.7629 0.5724 0.2024
O 0.2517 0.5822 0.5855
O 0.7555 0.5665 0.7021
O 0.2478 0.4391 0.2980
O 0.7502 0.4200 0.4112
O 0.2501 0.4388 0.7970
O 0.7493 0.4171 0.9130
O 0.0579 0.3071 0.0916
O 0.4406 0.3172 0.0892
O 0.4385 0.3093 0.5875
O 0.0629 0.3089 0.5869
O 0.7440 0.1430 0.2467
O 0.2485 0.1052 0.3176
O 0.7505 0.1564 0.7443
O 0.7519 0.0669 0.0234
O 0.2504 0.1069 0.8225
O 0.7504 0.0777 0.5250

No. 5
# CoP4O12

Crystalline CoP4O12 at its relaxed geometry (PBE with a Hubbard U, Materials Project).

Results
- M_tot: 0.0588 μB per atom
- Energy relative to the elements: -214.2 kJ/mol of atoms
- Relative energy among the computed polymorphs: 1.6 meV/atom
- VASP energy: -6.82 eV per atom
- Space-group type: C2/m, No. 12

a b c (Å): 10.5066 10.5066 5.1311
angles (deg): 83.52 83.52 71.72
Fractional coordinates of all 34 atoms:
Co 0.0000 0.5000 0.0000
Co 0.5000 0.0000 0.0000
P 0.7882 0.3615 0.8182
P 0.9420 0.6989 0.4658
P 0.0580 0.3011 0.5342
P 0.3615 0.7882 0.8182
P 0.6989 0.9420 0.4658
P 0.6385 0.2118 0.1818
P 0.3011 0.0580 0.5342
P 0.2118 0.6385 0.1818
O 0.4343 0.6698 0.6635
O 0.3989 0.0841 0.7018
O 0.5657 0.3302 0.3365
O 0.9144 0.2809 0.6272
O 0.1657 0.5540 0.0150
O 0.9159 0.6011 0.2982
O 0.7191 0.0856 0.3728
O 0.3305 0.0727 0.2423
O 0.6695 0.9273 0.7577
O 0.8481 0.8481 0.3868
O 0.0841 0.3989 0.7018
O 0.3302 0.5657 0.3365
O 0.2325 0.7675 0.0000
O 0.0856 0.7191 0.3728
O 0.4460 0.8343 0.9850
O 0.6698 0.4343 0.6635
O 0.7675 0.2325 0.0000
O 0.5540 0.1657 0.0150
O 0.9273 0.6695 0.7577
O 0.0727 0.3305 0.2423
O 0.6011 0.9159 0.2982
O 0.1519 0.1519 0.6132
O 0.2809 0.9144 0.6272
O 0.8343 0.4460 0.9850

No. 6
# Rb3CrF6

Crystalline Rb3CrF6 at its relaxed geometry (PBE with a Hubbard U, Materials Project).

Results
- M_tot: 0.3001 μB per atom
- Energy relative to the elements: -291.3 kJ/mol of atoms
- VASP energy: -4.95 eV per atom
- Space-group type: P-1, No. 2

a b c (Å): 8.4984 7.0271 7.0428
angles (deg): 77.92 110.82 127.50
Fractional coordinates of all 10 atoms:
Rb 0.0000 0.0000 0.5000
Rb 0.5000 0.5000 0.0000
Rb 0.0000 0.5000 0.0000
Cr 0.0000 0.0000 0.0000
F 0.0465 0.2511 0.7974
F 0.9535 0.7489 0.2026
F 0.7948 0.7450 0.7950
F 0.2052 0.2550 0.2050
F 0.7870 0.9973 0.0551
F 0.2130 0.0027 0.9449

No. 7
# VHO3

Crystalline VHO3 at its relaxed geometry (PBE with a Hubbard U, Materials Project).

Results
- M_tot: 0.0473 μB per atom
- Energy relative to the elements: -177.9 kJ/mol of atoms
- VASP energy: -6.56 eV per atom
- Space-group type: Cm, No. 8

a b c (Å): 6.2239 6.2239 11.5632
angles (deg): 85.93 85.93 34.62
Fractional coordinates of all 20 atoms:
V 0.0799 0.0799 0.8725
V 0.9232 0.9232 0.1296
V 0.7811 0.7811 0.8709
V 0.2207 0.2207 0.1269
H 0.1426 0.1426 0.6551
H 0.3792 0.3792 0.4104
H 0.4769 0.4769 0.4947
H 0.6656 0.6656 0.4481
O 0.6073 0.6073 0.9006
O 0.3907 0.3907 0.1033
O 0.9236 0.9236 0.9152
O 0.0741 0.0741 0.0839
O 0.2436 0.2436 0.9118
O 0.7557 0.7557 0.0944
O 0.0880 0.0880 0.7232
O 0.9163 0.9163 0.2687
O 0.7945 0.7945 0.7329
O 0.2043 0.2043 0.2655
O 0.3922 0.3922 0.4923
O 0.6096 0.6096 0.5145

No. 8
# BaSrNdCrO6

Crystalline BaSrNdCrO6 at its relaxed geometry (PBE with a Hubbard U, Materials Project).

Results
- M_tot: 0.1000 μB per atom
- Energy relative to the elements: -271.1 kJ/mol of atoms
- Relative energy among the computed polymorphs: 0.0 meV/atom
- VASP energy: -6.97 eV per atom
- Space-group type: P-1, No. 2

a b c (Å): 5.9267 5.8992 8.4070
angles (deg): 90.21 89.70 88.99
Fractional coordinates of all 20 atoms:
Ba 0.9977 0.0120 0.2474
Ba 0.0023 0.9880 0.7526
Sr 0.4997 0.5158 0.2514
Sr 0.5003 0.4842 0.7486
Nd 0.5000 0.0000 0.0000
Nd 0.0000 0.5000 0.5000
Cr 0.0000 0.5000 0.0000
Cr 0.5000 0.0000 0.5000
O 0.2009 0.2531 0.9743
O 0.3001 0.7431 0.5264
O 0.7991 0.7469 0.0257
O 0.6999 0.2569 0.4736
O 0.2472 0.7001 0.9721
O 0.2599 0.1988 0.5220
O 0.7528 0.2999 0.0279
O 0.7401 0.8012 0.4780
O 0.4565 0.9880 0.2739
O 0.0587 0.4975 0.2244
O 0.5435 0.0120 0.7261
O 0.9413 0.5025 0.7756

What did the sixth record say?
# Rb3CrF6

Crystalline Rb3CrF6 at its relaxed geometry (PBE with a Hubbard U, Materials Project).

Results
- M_tot: 0.3001 μB per atom
- Energy relative to the elements: -291.3 kJ/mol of atoms
- VASP energy: -4.95 eV per atom
- Space-group type: P-1, No. 2

a b c (Å): 8.4984 7.0271 7.0428
angles (deg): 77.92 110.82 127.50
Fractional coordinates of all 10 atoms:
Rb 0.0000 0.0000 0.5000
Rb 0.5000 0.5000 0.0000
Rb 0.0000 0.5000 0.0000
Cr 0.0000 0.0000 0.0000
F 0.0465 0.2511 0.7974
F 0.9535 0.7489 0.2026
F 0.7948 0.7450 0.7950
F 0.2052 0.2550 0.2050
F 0.7870 0.9973 0.0551
F 0.2130 0.0027 0.9449

- Which of these has the highest VASP energy?
  Rb3CrF6

- What is the energy relative to the elements in the first record?
  -315.2 kJ/mol of atoms

Copy entry 5 word for word.
# CoP4O12

Crystalline CoP4O12 at its relaxed geometry (PBE with a Hubbard U, Materials Project).

Results
- M_tot: 0.0588 μB per atom
- Energy relative to the elements: -214.2 kJ/mol of atoms
- Relative energy among the computed polymorphs: 1.6 meV/atom
- VASP energy: -6.82 eV per atom
- Space-group type: C2/m, No. 12

a b c (Å): 10.5066 10.5066 5.1311
angles (deg): 83.52 83.52 71.72
Fractional coordinates of all 34 atoms:
Co 0.0000 0.5000 0.0000
Co 0.5000 0.0000 0.0000
P 0.7882 0.3615 0.8182
P 0.9420 0.6989 0.4658
P 0.0580 0.3011 0.5342
P 0.3615 0.7882 0.8182
P 0.6989 0.9420 0.4658
P 0.6385 0.2118 0.1818
P 0.3011 0.0580 0.5342
P 0.2118 0.6385 0.1818
O 0.4343 0.6698 0.6635
O 0.3989 0.0841 0.7018
O 0.5657 0.3302 0.3365
O 0.9144 0.2809 0.6272
O 0.1657 0.5540 0.0150
O 0.9159 0.6011 0.2982
O 0.7191 0.0856 0.3728
O 0.3305 0.0727 0.2423
O 0.6695 0.9273 0.7577
O 0.8481 0.8481 0.3868
O 0.0841 0.3989 0.7018
O 0.3302 0.5657 0.3365
O 0.2325 0.7675 0.0000
O 0.0856 0.7191 0.3728
O 0.4460 0.8343 0.9850
O 0.6698 0.4343 0.6635
O 0.7675 0.2325 0.0000
O 0.5540 0.1657 0.0150
O 0.9273 0.6695 0.7577
O 0.0727 0.3305 0.2423
O 0.6011 0.9159 0.2982
O 0.1519 0.1519 0.6132
O 0.2809 0.9144 0.6272
O 0.8343 0.4460 0.9850